The following is a PBE calculation of a relaxed structure of Dy4GaSbS9, from the Materials Project database.

a = 13.5348 Å, b = 9.8859 Å, c = 9.8859 Å
α = 89.05°, β = 90.00°, γ = 90.00°
Closest atoms and distances in Å follow each position.
Atoms (fractional coordinates):
Dy  0.1008  0.1711  0.8289  6 S 2.72-2.85
Dy  0.1037  0.5588  0.3373  6 S 2.70-2.80
Dy  0.1830  0.8830  0.5514  6 S 2.72-2.83
Dy  0.1871  0.8808  0.0998  7 S 2.70-3.01
Dy  0.3129  0.3808  0.5998  7 S 2.70-3.01
Dy  0.3170  0.3830  0.0514  6 S 2.72-2.83
Dy  0.3963  0.0588  0.8373  6 S 2.70-2.80
Dy  0.3992  0.6711  0.3289  6 S 2.72-2.85
Dy  0.6008  0.3289  0.6711  6 S 2.72-2.85
Dy  0.6037  0.8373  0.0588  6 S 2.70-2.80
Dy  0.6830  0.0514  0.3830  6 S 2.72-2.83
Dy  0.6871  0.5998  0.3808  7 S 2.70-3.01
Dy  0.8129  0.0998  0.8808  7 S 2.70-3.01
Dy  0.8170  0.5514  0.8830  6 S 2.72-2.83
Dy  0.8963  0.3373  0.5588  6 S 2.70-2.80
Dy  0.8992  0.8289  0.1711  6 S 2.72-2.85
Ga  0.0913  0.6219  0.8325  4 S 2.29-2.32
Ga  0.4087  0.1219  0.3325  4 S 2.29-2.32
Ga  0.5913  0.3325  0.1219  4 S 2.29-2.32
Ga  0.9087  0.8325  0.6219  4 S 2.29-2.32
Sb  0.1132  0.1787  0.3402  3 S 2.48-2.65
Sb  0.3868  0.6787  0.8402  3 S 2.48-2.65
Sb  0.6132  0.8402  0.6787  3 S 2.48-2.65
Sb  0.8868  0.3402  0.1787  3 S 2.48-2.65
S  0.0000  0.0081  0.0081  4 Dy 2.74-2.96
S  0.0000  0.6337  0.6337  2 Ga 2.32
S  0.0113  0.0167  0.6254  1 Ga 2.29
S  0.0684  0.8272  0.3203  4 Dy 2.70-2.82
S  0.0815  0.3461  0.1559  2 Sb 2.48-2.65
S  0.0992  0.3451  0.5237  1 Sb 2.48, 1 Dy 2.77
S  0.1909  0.4312  0.8302  1 Ga 2.32
S  0.1972  0.8046  0.8271  1 Ga 2.31
S  0.2454  0.6182  0.1510  4 Dy 2.72-2.78
S  0.2485  0.1270  0.0115  4 Dy 2.70-2.73
S  0.2515  0.6270  0.5115  4 Dy 2.70-2.73
S  0.2546  0.1182  0.6510  4 Dy 2.72-2.78
S  0.3028  0.3046  0.3271  1 Ga 2.31
S  0.3091  0.9312  0.3302  1 Ga 2.32
S  0.4008  0.8451  0.0237  1 Sb 2.48, 1 Dy 2.77
S  0.4185  0.8461  0.6559  2 Sb 2.48-2.65
S  0.4316  0.3272  0.8203  4 Dy 2.70-2.82
S  0.4887  0.5167  0.1254  1 Ga 2.29
S  0.5000  0.1337  0.1337  2 Ga 2.32
S  0.5000  0.5081  0.5081  4 Dy 2.74-2.96
S  0.5113  0.1254  0.5167  1 Ga 2.29
S  0.5684  0.8203  0.3272  4 Dy 2.70-2.82
S  0.5815  0.6559  0.8461  2 Sb 2.48-2.65
S  0.5992  0.0237  0.8451  1 Sb 2.48, 1 Dy 2.77
S  0.6909  0.3302  0.9312  1 Ga 2.32
S  0.6972  0.3271  0.3046  1 Ga 2.31
S  0.7454  0.6510  0.1182  4 Dy 2.72-2.78
S  0.7485  0.5115  0.6270  4 Dy 2.70-2.73
S  0.7515  0.0115  0.1270  4 Dy 2.70-2.73
S  0.7546  0.1510  0.6182  4 Dy 2.72-2.78
S  0.8028  0.8271  0.8046  1 Ga 2.31
S  0.8091  0.8302  0.4312  1 Ga 2.32
S  0.9008  0.5237  0.3451  1 Sb 2.48, 1 Dy 2.77
S  0.9185  0.1559  0.3461  2 Sb 2.48-2.65
S  0.9316  0.3203  0.8272  4 Dy 2.70-2.82
S  0.9887  0.6254  0.0167  1 Ga 2.29

Summary:
Total magnetization   0.00 μB/f.u.
Formation enthalpy at 0 K   -1.84 eV per atom


The following is a PBE calculation of a relaxed structure of DyZnGa, from the Materials Project database.

a = 4.4176 Å, b = 4.4176 Å, c = 7.1748 Å
α = 90.00°, β = 90.00°, γ = 120.00°
Closest atoms and distances in Å follow each position.
Atoms (fractional coordinates):
Dy  0.0000  0.0000  0.0000  6 Zn 3.12, 6 Ga 3.12
Dy  0.0000  0.0000  0.5000  6 Zn 3.12, 6 Ga 3.12
Zn  0.3333  0.6667  0.2500  3 Ga 2.55
Zn  0.6667  0.3333  0.7500  3 Ga 2.55
Ga  0.3333  0.6667  0.7500  3 Zn 2.55
Ga  0.6667  0.3333  0.2500  3 Zn 2.55

Summary:
Formation enthalpy at 0 K   -0.57 eV per atom


The following is a PBE calculation of a relaxed structure of Dy2ZnGa, from the Materials Project database.

a = 5.0495 Å, b = 5.0495 Å, c = 5.0495 Å
α = 60.00°, β = 60.00°, γ = 60.00°
Closest atoms and distances in Å follow each position.
Atoms (fractional coordinates):
Dy  0.2500  0.2500  0.2500  4 Zn 3.09, 4 Ga 3.09
Dy  0.7500  0.7500  0.7500  4 Zn 3.09, 4 Ga 3.09
Zn  0.0000  0.0000  0.0000  8 Dy 3.09
Ga  0.5000  0.5000  0.5000  8 Dy 3.09

Summary:
Formation enthalpy at 0 K   -0.49 eV per atom


The following is a PBE calculation of a relaxed structure of GdDyNi2, from the Materials Project database.

a = 4.1862 Å, b = 5.4539 Å, c = 5.4539 Å
α = 40.21°, β = 90.00°, γ = 90.00°
Closest atoms and distances in Å follow each position.
Atoms (fractional coordinates):
Gd  0.0000  0.0000  0.0000  7 Ni 2.88-2.93
Dy  0.5000  0.7215  0.7215  7 Ni 2.87-2.94
Ni  0.0000  0.2863  0.2863  2 Ni 2.58, 2 Gd 2.88, 4 Dy 2.89
Ni  0.5000  0.4340  0.4340  2 Ni 2.58, 2 Dy 2.87, 4 Gd 2.89

Summary:
Formation enthalpy at 0 K   -0.43 eV per atom


The following is a PBE calculation of a relaxed structure of GdDy3Ni4, from the Materials Project database.

a = 5.4699 Å, b = 4.1926 Å, c = 7.1314 Å
α = 90.00°, β = 90.01°, γ = 90.00°
Closest atoms and distances in Å follow each position.
Atoms (fractional coordinates):
Gd  0.0000  0.0000  0.0000  7 Ni 2.87-2.96
Dy  0.2320  0.0000  0.5006  7 Ni 2.88-2.95
Dy  0.5000  0.5000  0.1416  7 Ni 2.87-2.96
Dy  0.7312  0.5000  0.6397  7 Ni 2.86-2.97
Ni  0.2413  0.5000  0.7812  2 Ni 2.56, 1 Dy 2.86
Ni  0.4917  0.0000  0.8581  2 Ni 2.56
Ni  0.7393  0.0000  0.3597  2 Ni 2.56
Ni  0.9911  0.5000  0.2845  2 Ni 2.56

Summary:
Formation enthalpy at 0 K   -0.44 eV per atom


The following is a PBE calculation of a relaxed structure of GdDyNi2, from the Materials Project database.

a = 5.4650 Å, b = 4.2372 Å, c = 10.6879 Å
α = 90.00°, β = 97.09°, γ = 90.00°
Closest atoms and distances in Å follow each position.
Atoms (fractional coordinates):
Gd  0.0000  0.0000  0.0000  7 Ni 2.88-2.95
Gd  0.1584  0.0000  0.6648  7 Ni 2.88-2.95
Gd  0.6749  0.5000  0.7592  7 Ni 2.87-2.95
Dy  0.3129  0.0000  0.3317  7 Ni 2.88-2.94
Dy  0.5212  0.5000  0.0943  7 Ni 2.88-2.95
Dy  0.8331  0.5000  0.4246  7 Ni 2.88-2.95
Ni  0.0375  0.5000  0.1892  2 Ni 2.58, 2 Dy 2.88
Ni  0.2056  0.5000  0.8542  2 Ni 2.58, 1 Gd 2.87
Ni  0.3633  0.5000  0.5204  2 Ni 2.59, 1 Dy 2.88, 1 Gd 2.89
Ni  0.4706  0.0000  0.9044  2 Ni 2.58, 1 Gd 2.88
Ni  0.6288  0.0000  0.5696  2 Ni 2.59, 1 Gd 2.88, 1 Dy 2.89
Ni  0.7954  0.0000  0.2375  2 Ni 2.58, 1 Dy 2.88

Summary:
Formation enthalpy at 0 K   -0.43 eV per atom


The following is a PBE calculation of a relaxed structure of GdDyRh2, from the Materials Project database.

a = 4.8734 Å, b = 4.8734 Å, c = 4.8734 Å
α = 60.00°, β = 60.00°, γ = 60.00°
Closest atoms and distances in Å follow each position.
Atoms (fractional coordinates):
Gd  0.0000  0.0000  0.0000  8 Rh 2.98
Dy  0.5000  0.5000  0.5000  8 Rh 2.98
Rh  0.2500  0.2500  0.2500  4 Dy 2.98, 4 Gd 2.98
Rh  0.7500  0.7500  0.7500  4 Dy 2.98, 4 Gd 2.98

Summary:
Formation enthalpy at 0 K   -0.83 eV per atom


The following is a PBE calculation of a relaxed structure of GdDyTl2, from the Materials Project database.

a = 5.4018 Å, b = 5.4018 Å, c = 5.4018 Å
α = 60.00°, β = 60.00°, γ = 60.00°
Closest atoms and distances in Å follow each position.
Atoms (fractional coordinates):
Gd  0.0000  0.0000  0.0000  8 Tl 3.31
Dy  0.5000  0.5000  0.5000  8 Tl 3.31
Tl  0.2500  0.2500  0.2500  4 Dy 3.31, 4 Gd 3.31
Tl  0.7500  0.7500  0.7500  4 Dy 3.31, 4 Gd 3.31

Summary:
Formation enthalpy at 0 K   -0.36 eV per atom


The following is a PBE calculation of a relaxed structure of Dy3Ge4, from the Materials Project database.

a = 4.0487 Å, b = 5.7201 Å, c = 14.3049 Å
α = 89.99°, β = 89.97°, γ = 69.31°
Closest atoms and distances in Å follow each position.
Atoms (fractional coordinates):
Dy  0.0000  0.0000  0.0000  8 Ge 2.95-3.12
Dy  0.0052  0.9904  0.6931  8 Ge 2.97-3.12
Dy  0.2855  0.4301  0.8479  7 Ge 2.90-3.19
Dy  0.3989  0.2057  0.3454  7 Ge 2.90-3.18
Dy  0.6796  0.6404  0.4992  8 Ge 2.98-3.11
Dy  0.6847  0.6395  0.1937  8 Ge 2.96-3.12
Ge  0.1306  0.7486  0.3463  2 Ge 2.61, 1 Dy 2.90
Ge  0.3402  0.3257  0.0946  4 Ge 2.87-2.95, 4 Dy 2.98-3.00
Ge  0.3413  0.3179  0.5975  4 Ge 2.89-2.92, 4 Dy 3.01
Ge  0.5530  0.8886  0.8467  2 Ge 2.60-2.62, 1 Dy 2.90
Ge  0.7090  0.5824  0.9880  3 Ge 2.60-2.89
Ge  0.7151  0.5732  0.7062  3 Ge 2.62-2.90
Ge  0.9690  0.0598  0.4869  3 Ge 2.61-2.92
Ge  0.9750  0.0569  0.2053  1 Ge 2.61

Summary:
Total magnetization   0.00 μB/f.u.
Formation enthalpy at 0 K   -0.78 eV per atom


- Among the records above, which one has the lowest formation enthalpy at 0 K?
  Dy4GaSbS9